A plane-wave DFT calculation with PBE with a Hubbard U was carried out for a relaxed NiS2O8 crystal. Values from VASP.

Output
Polymorph energy (0 for the lowest one): 0 meV per atom
Energy: -5.60 eV/atom
Space group: No. 146
Formation energy from the elements: -1.4500 eV per atom

The structure in Quantum ESPRESSO input format:
```
&SYSTEM
  ibrav = 0, nat = 33, ntyp = 3
/
ATOMIC_SPECIES
Ni 58.69 Ni.upf
S 32.06 S.upf
O 16.00 O.upf
CELL_PARAMETERS angstrom
1.5463 8.2850 3.1738
-3.2353 3.0440 7.8340
5.1260 1.7261 7.2007
ATOMIC_POSITIONS angstrom
Ni 1.2249 4.6528 6.4895
Ni 2.2123 8.4035 11.7206
Ni 2.9251 11.1112 15.4972
S 3.3927 7.1038 6.0484
S 2.3813 3.0588 9.1395
S -1.4688 6.1907 7.6207
S 4.9484 6.9077 10.5863
S 1.0102 10.0307 9.0905
S 0.0606 5.9259 12.2128
O 2.7566 3.7103 5.4707
O 0.3498 5.3480 4.7507
O 3.1639 8.4543 5.4630
O 0.0547 2.9494 6.5262
O 4.3621 7.1723 7.1693
O 2.1414 6.5064 6.5461
O 2.3127 4.1775 8.1835
O 3.7893 2.7015 9.4696
O -0.2099 5.4378 7.7560
O 5.9334 7.4315 9.6161
O 4.6369 5.4761 10.2984
O 1.7675 9.6147 7.8727
O 1.6324 3.4363 10.3632
O -1.1950 7.6227 7.8953
O -2.5239 5.6690 8.5336
O 3.6447 7.6293 10.4379
O -0.4053 10.2978 8.7575
O 1.1085 8.8677 10.0287
O 1.3110 6.5379 11.6609
O -0.8869 5.8677 11.0603
O 3.3643 10.1081 11.6784
O 0.3418 4.5677 12.7248
O 3.0986 7.7140 13.4451
O 0.6847 9.3279 12.7436
```